(1)
{"formula": "MgSi2NiO6", "functional": "GGA+U", "state": "optimized geometry", "de_polymorph_ev_per_atom": 0.011, "delta_e_f_ev_per_atom": -2.822, "cell": [[-4.694, -2.658, 5.130], [1.509, -6.447, -6.697], [3.757, -5.345, 3.568]], "species": ["Mg", "Mg", "Mg", "Mg", "Si", "Si", "Si", "Si", "Si", "Si", "Si", "Si", "Ni", "Ni", "Ni", "Ni", "O", "O", "O", "O", "O", "O", "O", "O", "O", "O", "O", "O", "O", "O", "O", "O", "O", "O", "O", "O", "O", "O", "O", "O"], "frac_coords": [[0.754, 0.875, 0.371], [0.754, 0.375, 0.871], [0.246, 0.625, 0.129], [0.246, 0.125, 0.629], [0.387, 0.422, 0.787], [0.387, 0.922, 0.287], [0.791, 0.828, 0.785], [0.791, 0.328, 0.285], [0.209, 0.672, 0.715], [0.209, 0.172, 0.215], [0.613, 0.078, 0.713], [0.613, 0.578, 0.213], [0.902, 0.125, 0.973], [0.098, 0.375, 0.527], [0.902, 0.625, 0.473], [0.098, 0.875, 0.027], [0.385, 0.601, 0.721], [0.385, 0.101, 0.221], [0.678, 0.649, 0.966], [0.678, 0.149, 0.466], [0.615, 0.899, 0.779], [0.615, 0.399, 0.279], [0.322, 0.851, 0.534], [0.322, 0.351, 0.034], [0.621, 0.443, 0.689], [0.621, 0.943, 0.189], [0.868, 0.807, 0.572], [0.868, 0.307, 0.072], [0.379, 0.057, 0.811], [0.379, 0.557, 0.311], [0.132, 0.693, 0.928], [0.132, 0.193, 0.428], [0.031, 0.546, 0.663], [0.031, 0.046, 0.163], [0.790, 0.204, 0.765], [0.790, 0.704, 0.265], [0.210, 0.296, 0.735], [0.210, 0.796, 0.235], [0.969, 0.954, 0.837], [0.969, 0.454, 0.337]]}


(2)
{"formula": "K5Na3Nb4W4O20", "functional": "GGA+U", "state": "optimized geometry", "delta_e_f_ev_per_atom": -2.215, "space_group": "P1, No. 1", "crystal_system": "triclinic", "cell": [[11.608, 0.000, 0.000], [-0.035, 11.823, 0.000], [-5.785, -5.868, 15.620]], "species": ["K", "K", "K", "K", "K", "K", "K", "K", "K", "K", "K", "K", "K", "K", "K", "K", "K", "K", "K", "K", "Na", "Na", "Na", "Na", "Na", "Na", "Na", "Na", "Na", "Na", "Na", "Na", "Nb", "Nb", "Nb", "Nb", "Nb", "Nb", "Nb", "Nb", "Nb", "Nb", "Nb", "Nb", "Nb", "Nb", "Nb", "Nb", "W", "W", "W", "W", "W", "W", "W", "W", "W", "W", "W", "W", "W", "W", "W", "W", "O", "O", "O", "O", "O", "O", "O", "O", "O", "O", "O", "O", "O", "O", "O", "O", "O", "O", "O", "O", "O", "O", "O", "O", "O", "O", "O", "O", "O", "O", "O", "O", "O", "O", "O", "O", "O", "O", "O", "O", "O", "O", "O", "O", "O", "O", "O", "O", "O", "O", "O", "O", "O", "O", "O", "O", "O", "O", "O", "O", "O", "O", "O", "O", "O", "O", "O", "O", "O", "O", "O", "O", "O", "O", "O", "O", "O", "O", "O", "O"], "frac_coords": [[0.000, 0.000, 0.000], [0.001, 0.492, 0.991], [0.136, 0.136, 0.278], [0.136, 0.629, 0.773], [0.251, 0.767, 0.000], [0.255, 0.262, 0.999], [0.382, 0.400, 0.767], [0.388, 0.905, 0.276], [0.391, 0.404, 0.278], [0.498, 0.992, 0.995], [0.501, 0.496, 0.506], [0.504, 0.493, 0.998], [0.634, 0.630, 0.766], [0.638, 0.131, 0.283], [0.643, 0.635, 0.279], [0.746, 0.766, 0.995], [0.753, 0.266, 0.993], [0.881, 0.406, 0.765], [0.889, 0.911, 0.284], [0.891, 0.908, 0.770], [0.003, 0.977, 0.493], [0.148, 0.130, 0.783], [0.148, 0.637, 0.295], [0.245, 0.267, 0.495], [0.253, 0.775, 0.491], [0.395, 0.917, 0.783], [0.497, 0.981, 0.489], [0.647, 0.129, 0.784], [0.745, 0.268, 0.495], [0.745, 0.768, 0.488], [0.899, 0.421, 0.294], [0.995, 0.484, 0.491], [0.060, 0.777, 0.141], [0.070, 0.269, 0.632], [0.076, 0.299, 0.140], [0.109, 0.775, 0.633], [0.309, 0.626, 0.634], [0.328, 0.606, 0.138], [0.339, 0.105, 0.139], [0.357, 0.112, 0.633], [0.569, 0.265, 0.635], [0.584, 0.796, 0.633], [0.587, 0.794, 0.139], [0.614, 0.282, 0.141], [0.811, 0.124, 0.142], [0.840, 0.622, 0.630], [0.859, 0.118, 0.633], [0.860, 0.620, 0.142], [0.191, 0.453, 0.392], [0.192, 0.447, 0.883], [0.192, 0.947, 0.882], [0.194, 0.952, 0.392], [0.440, 0.697, 0.882], [0.442, 0.202, 0.395], [0.442, 0.702, 0.391], [0.444, 0.198, 0.882], [0.692, 0.449, 0.883], [0.692, 0.949, 0.883], [0.693, 0.451, 0.392], [0.696, 0.953, 0.396], [0.942, 0.204, 0.394], [0.942, 0.701, 0.885], [0.943, 0.200, 0.882], [0.945, 0.701, 0.392], [0.000, 0.783, 0.029], [0.002, 0.304, 0.531], [0.005, 0.628, 0.622], [0.008, 0.287, 0.022], [0.019, 0.793, 0.527], [0.033, 0.104, 0.634], [0.035, 0.613, 0.152], [0.059, 0.323, 0.381], [0.065, 0.317, 0.873], [0.065, 0.822, 0.880], [0.066, 0.819, 0.382], [0.071, 0.579, 0.892], [0.072, 0.581, 0.402], [0.073, 0.079, 0.889], [0.076, 0.086, 0.408], [0.109, 0.903, 0.249], [0.115, 0.391, 0.741], [0.120, 0.415, 0.254], [0.125, 0.886, 0.744], [0.224, 0.733, 0.138], [0.230, 0.234, 0.141], [0.234, 0.231, 0.623], [0.248, 0.492, 0.530], [0.259, 0.009, 0.021], [0.259, 0.499, 0.020], [0.268, 0.990, 0.526], [0.280, 0.796, 0.634], [0.308, 0.818, 0.376], [0.311, 0.322, 0.384], [0.312, 0.316, 0.874], [0.314, 0.819, 0.874], [0.320, 0.074, 0.885], [0.320, 0.586, 0.403], [0.321, 0.576, 0.892], [0.324, 0.082, 0.405], [0.358, 0.611, 0.743], [0.374, 0.613, 0.254], [0.375, 0.115, 0.745], [0.375, 0.120, 0.257], [0.476, 0.671, 0.634], [0.489, 0.656, 0.138], [0.494, 0.293, 0.532], [0.497, 0.154, 0.140], [0.497, 0.805, 0.524], [0.512, 0.775, 0.020], [0.527, 0.275, 0.027], [0.532, 0.099, 0.635], [0.559, 0.819, 0.870], [0.566, 0.318, 0.875], [0.566, 0.321, 0.386], [0.566, 0.823, 0.386], [0.569, 0.075, 0.886], [0.570, 0.576, 0.889], [0.576, 0.084, 0.410], [0.576, 0.584, 0.404], [0.614, 0.391, 0.742], [0.626, 0.895, 0.257], [0.628, 0.394, 0.251], [0.630, 0.908, 0.747], [0.733, 0.233, 0.623], [0.745, 0.758, 0.619], [0.749, 0.752, 0.141], [0.752, 0.010, 0.027], [0.754, 0.489, 0.528], [0.770, 0.989, 0.531], [0.774, 0.514, 0.027], [0.789, 0.298, 0.152], [0.811, 0.318, 0.871], [0.814, 0.823, 0.878], [0.815, 0.324, 0.383], [0.818, 0.824, 0.387], [0.820, 0.577, 0.889], [0.821, 0.079, 0.890], [0.827, 0.087, 0.411], [0.827, 0.581, 0.405], [0.864, 0.113, 0.253], [0.873, 0.614, 0.251], [0.875, 0.629, 0.745], [0.880, 0.122, 0.745], [0.978, 0.168, 0.141]]}


(3)
{"formula": "Cu2NiTeO6", "functional": "GGA+U", "state": "optimized geometry", "delta_e_f_ev_per_atom": -1.186, "space_group": "I2_12_12_1, No. 24", "crystal_system": "orthorhombic", "cell": [[-4.822, 4.828, 4.846], [4.822, -4.828, 4.846], [4.822, 4.828, -4.846]], "species": ["Cu", "Cu", "Cu", "Cu", "Cu", "Cu", "Cu", "Cu", "Ni", "Ni", "Ni", "Ni", "Te", "Te", "Te", "Te", "O", "O", "O", "O", "O", "O", "O", "O", "O", "O", "O", "O", "O", "O", "O", "O", "O", "O", "O", "O", "O", "O", "O", "O"], "frac_coords": [[0.028, 0.750, 0.778], [0.223, 0.473, 0.750], [0.250, 0.279, 0.029], [0.277, 0.027, 0.250], [0.472, 0.250, 0.722], [0.720, 0.970, 0.750], [0.750, 0.221, 0.471], [0.780, 0.530, 0.250], [0.250, 0.789, 0.539], [0.540, 0.750, 0.290], [0.750, 0.711, 0.961], [0.960, 0.250, 0.210], [0.000, 0.496, 0.999], [0.500, 0.499, 0.496], [0.503, 0.004, 0.004], [0.997, 0.001, 0.501], [0.025, 0.806, 0.571], [0.038, 0.557, 0.265], [0.057, 0.766, 0.042], [0.201, 0.230, 0.767], [0.225, 0.015, 0.458], [0.236, 0.305, 0.277], [0.264, 0.541, 0.069], [0.275, 0.734, 0.791], [0.299, 0.066, 0.028], [0.443, 0.485, 0.709], [0.462, 0.726, 0.518], [0.475, 0.046, 0.780], [0.528, 0.959, 0.223], [0.537, 0.270, 0.472], [0.570, 0.522, 0.302], [0.708, 0.943, 0.982], [0.720, 0.268, 0.198], [0.735, 0.454, 0.929], [0.765, 0.694, 0.720], [0.780, 0.978, 0.547], [0.792, 0.774, 0.235], [0.930, 0.232, 0.953], [0.963, 0.434, 0.733], [0.972, 0.195, 0.431]]}


(4)
{"formula": "Na3Li3Mn2P2C2O14", "functional": "GGA+U", "state": "optimized geometry", "de_polymorph_ev_per_atom": 0.000, "delta_e_f_ev_per_atom": -2.393, "space_group": "P1, No. 1", "crystal_system": "triclinic", "cell": [[5.161, 0.000, 0.000], [-0.102, 6.757, 0.000], [-0.182, -0.671, 8.795]], "species": ["Na", "Na", "Na", "Li", "Li", "Li", "Mn", "Mn", "P", "P", "C", "C", "O", "O", "O", "O", "O", "O", "O", "O", "O", "O", "O", "O", "O", "O"], "frac_coords": [[0.000, 0.000, 0.000], [0.011, 0.281, 0.333], [0.505, 0.307, 0.839], [0.035, 0.741, 0.370], [0.472, 0.845, 0.789], [0.519, 0.596, 0.178], [0.035, 0.548, 0.725], [0.480, 0.025, 0.434], [0.546, 0.541, 0.499], [0.969, 0.034, 0.662], [0.517, 0.027, 0.130], [0.994, 0.552, 0.048], [0.057, 0.235, 0.746], [0.068, 0.011, 0.497], [0.080, 0.868, 0.757], [0.240, 0.543, 0.022], [0.292, 0.025, 0.193], [0.437, 0.700, 0.396], [0.444, 0.571, 0.665], [0.461, 0.338, 0.422], [0.538, 0.027, 0.983], [0.666, 0.020, 0.656], [0.723, 0.026, 0.218], [0.826, 0.556, 0.936], [0.848, 0.558, 0.509], [0.907, 0.560, 0.186]]}


(5)
{"formula": "MgMn5FeO12", "functional": "GGA+U", "state": "optimized geometry", "de_polymorph_ev_per_atom": 0.007, "delta_e_f_ev_per_atom": -1.884, "space_group": "P1, No. 1", "crystal_system": "triclinic", "cell": [[5.084, 0.000, 0.000], [2.499, 4.457, 0.000], [0.501, 1.387, 9.983]], "species": ["Mg", "Mn", "Mn", "Mn", "Mn", "Mn", "Fe", "O", "O", "O", "O", "O", "O", "O", "O", "O", "O", "O", "O"], "frac_coords": [[0.000, 0.000, 0.000], [0.022, 0.076, 0.729], [0.354, 0.935, 0.245], [0.357, 0.404, 0.748], [0.684, 0.270, 0.245], [0.690, 0.742, 0.749], [0.021, 0.595, 0.264], [0.000, 0.754, 0.853], [0.011, 0.449, 0.649], [0.015, 0.274, 0.139], [0.023, 0.930, 0.345], [0.336, 0.648, 0.142], [0.345, 0.039, 0.846], [0.361, 0.764, 0.650], [0.375, 0.221, 0.342], [0.671, 0.572, 0.342], [0.688, 0.972, 0.143], [0.706, 0.071, 0.641], [0.716, 0.357, 0.846]]}


(6)
{"formula": "BaNaFe2F9", "functional": "GGA+U", "state": "optimized geometry", "delta_e_f_ev_per_atom": -3.087, "space_group": "P2_1/c, No. 14", "crystal_system": "monoclinic", "cell": [[5.583, 0.000, 0.000], [0.000, 17.767, 0.000], [-5.285, 0.000, 7.439]], "species": ["Ba", "Ba", "Ba", "Ba", "Na", "Na", "Na", "Na", "Fe", "Fe", "Fe", "Fe", "Fe", "Fe", "Fe", "Fe", "F", "F", "F", "F", "F", "F", "F", "F", "F", "F", "F", "F", "F", "F", "F", "F", "F", "F", "F", "F", "F", "F", "F", "F", "F", "F", "F", "F", "F", "F", "F", "F", "F", "F", "F", "F"], "frac_coords": [[0.153, 0.214, 0.436], [0.153, 0.286, 0.936], [0.847, 0.714, 0.064], [0.847, 0.786, 0.564], [0.034, 0.537, 0.797], [0.034, 0.963, 0.297], [0.966, 0.037, 0.703], [0.966, 0.463, 0.203], [0.312, 0.623, 0.590], [0.312, 0.877, 0.090], [0.487, 0.081, 0.230], [0.487, 0.419, 0.730], [0.513, 0.581, 0.270], [0.513, 0.919, 0.770], [0.688, 0.123, 0.910], [0.688, 0.377, 0.410], [0.085, 0.076, 0.997], [0.085, 0.424, 0.497], [0.110, 0.707, 0.431], [0.110, 0.793, 0.931], [0.119, 0.583, 0.055], [0.119, 0.917, 0.555], [0.290, 0.665, 0.776], [0.290, 0.835, 0.276], [0.306, 0.166, 0.803], [0.306, 0.334, 0.303], [0.313, 0.081, 0.358], [0.313, 0.419, 0.858], [0.325, 0.568, 0.404], [0.325, 0.932, 0.904], [0.492, 0.688, 0.286], [0.492, 0.812, 0.786], [0.496, 0.531, 0.740], [0.496, 0.969, 0.240], [0.504, 0.031, 0.760], [0.504, 0.469, 0.260], [0.508, 0.188, 0.214], [0.508, 0.312, 0.714], [0.675, 0.068, 0.096], [0.675, 0.432, 0.596], [0.687, 0.581, 0.142], [0.687, 0.919, 0.642], [0.694, 0.666, 0.697], [0.694, 0.834, 0.197], [0.710, 0.165, 0.724], [0.710, 0.335, 0.224], [0.881, 0.083, 0.445], [0.881, 0.417, 0.945], [0.890, 0.207, 0.069], [0.890, 0.293, 0.569], [0.915, 0.576, 0.503], [0.915, 0.924, 0.003]]}


(7)
{"formula": "Fe4O3F5", "functional": "GGA+U", "state": "optimized geometry", "de_polymorph_ev_per_atom": 0.044, "piezo_max_c_m2": 0.492, "delta_e_f_ev_per_atom": -2.152, "space_group": "Imm2, No. 44", "crystal_system": "orthorhombic", "cell": [[-3.104, 3.530, 3.243], [3.104, -3.530, 3.243], [3.104, 3.530, -3.243]], "species": ["Fe", "Fe", "Fe", "Fe", "O", "O", "O", "F", "F", "F", "F", "F"], "frac_coords": [[0.000, 0.000, 0.000], [0.502, 0.262, 0.760], [0.502, 0.742, 0.240], [0.967, 0.467, 0.500], [0.296, 0.296, 0.000], [0.669, 0.169, 0.500], [0.701, 0.701, 0.000], [0.195, 0.236, 0.442], [0.195, 0.754, 0.959], [0.284, 0.784, 0.500], [0.795, 0.236, 0.041], [0.795, 0.754, 0.558]]}


(8)
{"formula": "Li3Fe8B8O24", "functional": "GGA+U", "state": "optimized geometry", "de_polymorph_ev_per_atom": 0.004, "delta_e_f_ev_per_atom": -2.251, "space_group": "P1, No. 1", "crystal_system": "triclinic", "cell": [[5.306, 0.000, 0.000], [0.074, 9.060, 0.000], [2.560, 4.393, 10.145]], "species": ["Li", "Li", "Li", "Fe", "Fe", "Fe", "Fe", "Fe", "Fe", "Fe", "Fe", "B", "B", "B", "B", "B", "B", "B", "B", "O", "O", "O", "O", "O", "O", "O", "O", "O", "O", "O", "O", "O", "O", "O", "O", "O", "O", "O", "O", "O", "O", "O", "O"], "frac_coords": [[0.000, 0.000, 0.000], [0.178, 0.852, 0.274], [0.506, 0.495, 0.997], [0.186, 0.509, 0.276], [0.241, 0.894, 0.525], [0.422, 0.427, 0.776], [0.489, 0.816, 0.029], [0.679, 0.022, 0.275], [0.735, 0.392, 0.522], [0.925, 0.928, 0.777], [0.982, 0.318, 0.028], [0.180, 0.180, 0.277], [0.232, 0.558, 0.519], [0.430, 0.764, 0.780], [0.481, 0.142, 0.027], [0.696, 0.680, 0.276], [0.726, 0.054, 0.529], [0.929, 0.267, 0.778], [0.983, 0.645, 0.027], [0.004, 0.116, 0.802], [0.054, 0.369, 0.815], [0.115, 0.454, 0.479], [0.153, 0.707, 0.499], [0.211, 0.621, 0.075], [0.221, 0.817, 0.723], [0.280, 0.028, 0.326], [0.302, 0.313, 0.276], [0.328, 0.007, 0.047], [0.394, 0.296, 0.976], [0.442, 0.506, 0.577], [0.453, 0.684, 0.243], [0.502, 0.613, 0.803], [0.555, 0.864, 0.820], [0.610, 0.952, 0.489], [0.637, 0.196, 0.523], [0.719, 0.125, 0.059], [0.721, 0.321, 0.720], [0.801, 0.529, 0.322], [0.828, 0.815, 0.261], [0.843, 0.523, 0.024], [0.903, 0.802, 0.979], [0.947, 0.004, 0.580], [0.966, 0.188, 0.228]]}


M_tot: 0.000, 0.212, 0.200, 0.385, 1.105, 0.769, 1.583, 0.860 (μB/atom)